Entry 1:
Li4Co3NiO8: relaxed, GGA+U.

POSCAR file:
```
Li4Co3NiO8
1.0
5.8311 0.0000 0.0000
-2.8905 5.1153 0.0000
-2.8995 -1.6857 9.5942
Li Co Ni O
8 6 2 16
Direct
0.0000 0.0000 0.0000
0.0020 0.4999 0.4995
0.0085 0.2519 0.2597
0.4879 0.7367 0.7366
0.5000 0.0001 0.9998
0.5019 0.5002 0.4998
0.5163 0.2642 0.2633
0.9953 0.7485 0.7398
0.0004 0.5001 0.9998
0.0016 0.0000 0.4997
0.4981 0.7514 0.2523
0.5003 0.4999 0.9997
0.5017 0.0002 0.4998
0.5040 0.2490 0.7472
0.0027 0.7509 0.2496
0.9993 0.2494 0.7499
0.2281 0.8346 0.1143
0.2374 0.3476 0.6204
0.2466 0.6051 0.8916
0.2535 0.3903 0.1083
0.2574 0.8845 0.6282
0.2643 0.1140 0.3810
0.2673 0.6360 0.3652
0.2841 0.1675 0.8782
0.7170 0.8326 0.1213
0.7353 0.3644 0.6344
0.7391 0.8862 0.6185
0.7461 0.1157 0.3714
0.7469 0.6098 0.8912
0.7539 0.3950 0.1080
0.7653 0.6525 0.3792
0.7729 0.1656 0.8852
```

Properties
calculated total energy: -5.4722 eV/atom
polymorph energy (0 for the lowest one): 50 meV per atom
energy of formation: -1.636 eV per atom
total moment: 0.19 μB per atom
symmetry: P1
crystal system: triclinic



Entry 2:
MnNb3P6O24: relaxed, GGA+U.

POSCAR file:
```
MnNb3P6O24
1.0
4.3935 2.5366 7.4154
-4.3935 2.5366 7.4154
0.0000 -5.0732 7.4154
Mn Nb P O
1 3 6 24
Direct
0.0000 0.0000 0.0000
0.2837 0.2837 0.2837
0.5015 0.5015 0.5015
0.7827 0.7827 0.7827
0.1085 0.6832 0.3857
0.1755 0.6140 0.8937
0.3857 0.1085 0.6832
0.6139 0.8937 0.1755
0.6832 0.3857 0.1085
0.8937 0.1755 0.6139
0.0082 0.6402 0.8626
0.0632 0.2054 0.4318
0.0845 0.8583 0.2212
0.1397 0.5079 0.3630
0.1554 0.7769 0.9190
0.2054 0.4318 0.0632
0.2212 0.0845 0.8583
0.2758 0.6429 0.4274
0.3534 0.5763 0.7237
0.3630 0.1397 0.5079
0.4274 0.2758 0.6429
0.4318 0.0632 0.2054
0.5079 0.3630 0.1397
0.5643 0.9335 0.7036
0.5763 0.7237 0.3534
0.6402 0.8626 0.0082
0.6429 0.4274 0.2758
0.7036 0.5643 0.9335
0.7237 0.3534 0.5763
0.7769 0.9190 0.1554
0.8583 0.2212 0.0845
0.8626 0.0082 0.6402
0.9190 0.1554 0.7769
0.9335 0.7036 0.5643
```

Properties
calculated total energy: -7.8540 eV/atom
energy of formation: -2.779 eV per atom
symmetry: R3
crystal system: trigonal



Entry 3:
MnO2: relaxed, GGA+U.

POSCAR file:
```
MnO2
1.0
2.5317 -1.4617 -0.0001
0.0008 0.0001 -21.1641
2.5317 1.4617 -0.0001
Mn O
4 8
Direct
0.0000 0.7500 0.0000
0.0000 0.5000 0.0000
0.0000 0.0000 0.0000
0.0000 0.2500 0.0000
0.3333 0.7954 0.3333
0.6667 0.7046 0.6667
0.6667 0.2046 0.6667
0.3334 0.4546 0.3334
0.6667 0.0454 0.6666
0.3333 0.2954 0.3333
0.6667 0.5454 0.6666
0.3334 0.9546 0.3334
```

Properties
calculated total energy: -7.1293 eV/atom
energy of formation: -1.791 eV per atom



Entry 4:
MgZn2AgWO6: relaxed, GGA+U.

POSCAR file:
```
MgZn2AgWO6
1.0
5.4906 0.0000 0.0000
2.2854 5.0493 0.0000
2.7393 0.7189 5.1453
Mg Zn Ag W O
1 2 1 1 6
Direct
0.0000 0.0000 0.0000
0.5353 0.6535 0.1910
0.9804 0.4168 0.5806
0.3040 0.3270 0.0746
0.6870 0.9997 0.5412
0.1020 0.7302 0.3110
0.2779 0.2070 0.7327
0.5919 0.9368 0.2802
0.6172 0.6745 0.8039
0.8085 0.3002 0.2465
0.8669 0.0756 0.7116
```

Properties
calculated total energy: -5.5291 eV/atom
polymorph energy (0 for the lowest one): 19 meV per atom
energy of formation: -1.798 eV per atom
total moment: 0.09 μB per atom
symmetry: P1
crystal system: triclinic